Rb4TeMo6O24: optimized geometry, GGA+U.

```
70
Lattice="10.939 -3.943 0.000 10.939 3.943 0.000 -7.847 0.000 13.745" Properties=species:S:1:pos:R:3 pbc="T T T"
Rb 1.470 0.314 3.793
Rb 3.892 0.215 0.804
Rb -2.453 -0.314 10.666
Rb -0.032 -0.215 7.677
Rb 14.062 0.215 6.068
Rb 16.484 0.314 3.079
Rb 10.138 -0.215 12.941
Rb 12.560 -0.314 9.952
Te 5.053 0.945 10.309
Te 8.977 -0.945 3.436
Mo 3.128 1.742 13.398
Mo 6.979 1.742 7.220
Mo 3.740 0.515 7.252
Mo 5.418 0.328 4.411
Mo 1.495 -0.328 11.284
Mo 7.663 -0.515 0.380
Mo 6.367 0.515 13.366
Mo 12.536 0.328 2.461
Mo 8.612 -0.328 9.334
Mo 10.290 -0.515 6.493
Mo 7.052 -1.742 6.525
Mo 10.902 -1.742 0.348
O 8.144 3.184 2.031
O 2.129 3.051 12.829
O 2.536 1.634 7.868
O 5.561 1.375 3.021
O 4.022 1.263 5.463
O 9.810 3.184 4.841
O 0.419 0.938 10.709
O 5.242 2.075 7.814
O 7.978 3.051 7.788
O -1.110 0.888 13.637
O 6.821 1.937 5.456
O 4.865 2.075 12.804
O 11.133 1.937 1.416
O 3.136 0.765 11.294
O 1.803 0.251 13.408
O 8.285 0.273 2.135
O 4.343 -0.938 3.837
O 2.814 -0.888 6.765
O 5.726 -0.251 6.536
O 6.971 0.765 9.324
O 4.362 -0.273 9.008
O 7.571 1.634 12.750
O 0.099 -1.263 12.336
O 12.392 1.375 3.851
O 1.638 -1.375 9.894
O 13.932 1.263 1.409
O 6.459 -1.634 0.996
O 9.668 0.273 4.738
O 7.059 -0.765 4.421
O 8.304 0.251 7.209
O 11.216 0.888 6.981
O 9.687 0.938 9.908
O 5.745 -0.273 11.610
O 12.228 -0.251 0.337
O 10.895 -0.765 2.451
O 2.897 -1.937 12.329
O 9.165 -2.075 0.941
O 7.209 -1.937 8.289
O 15.140 -0.888 0.108
O 6.053 -3.051 5.957
O 8.788 -2.075 5.931
O 13.611 -0.938 3.036
O 4.220 -3.184 8.904
O 10.008 -1.263 8.282
O 8.469 -1.375 10.724
O 11.495 -1.634 5.877
O 11.901 -3.051 0.916
O 5.887 -3.184 11.714
```

Calculated values
* SG: C2/c
* E (MP2020): -7.239 eV per atom
* ΔE_f: -1.78 eV per atom

---

Rb4ThMo4O16: optimized geometry, GGA+U.

```
50
Lattice="13.662 -3.259 0.000 13.662 3.259 0.000 -4.691 0.000 10.582" Properties=species:S:1:pos:R:3 pbc="T T T"
Rb 5.849 1.658 3.715
Rb 6.926 1.645 8.436
Rb 13.362 1.645 7.436
Rb 19.129 1.658 1.576
Rb 3.504 -1.658 9.006
Rb 9.272 -1.645 3.146
Rb 15.707 -1.645 2.145
Rb 16.784 -1.658 6.867
Th 12.489 1.628 2.645
Th 10.144 -1.628 7.936
Mo 8.808 1.832 0.888
Mo 9.810 1.645 5.579
Mo 10.478 1.645 10.294
Mo 16.170 1.832 4.403
Mo 6.463 -1.832 6.179
Mo 12.155 -1.645 0.288
Mo 12.823 -1.645 5.003
Mo 13.825 -1.832 9.693
O 8.449 2.354 4.725
O 10.657 2.923 6.554
O 9.631 2.923 9.318
O 10.437 2.205 1.712
O 4.321 1.450 9.736
O 3.524 0.032 4.220
O 1.179 -0.032 9.511
O 7.992 0.471 1.695
O 14.541 2.205 3.579
O 16.529 2.354 0.566
O 10.898 0.920 4.316
O 9.201 0.369 6.706
O 14.080 0.920 0.975
O 5.646 -0.471 6.986
O 15.967 1.450 6.136
O 11.086 0.369 9.167
O 11.547 -0.369 1.415
O 6.666 -1.450 4.445
O 16.987 0.471 3.596
O 8.553 -0.920 9.607
O 13.432 -0.369 3.876
O 11.735 -0.920 6.266
O 6.104 -2.354 10.015
O 8.092 -2.205 7.003
O 14.641 -0.471 8.887
O 21.454 0.032 1.070
O 19.109 -0.032 6.361
O 18.312 -1.450 0.845
O 12.196 -2.205 8.870
O 13.002 -2.923 1.263
O 11.976 -2.923 4.027
O 14.184 -2.354 5.857
```

Calculated values
* SG: C2/c
* E (MP2020): -7.773 eV per atom
* ΔE_f: -2.42 eV per atom

---

Rb8ThMo6O24: optimized geometry, GGA+U.

```
78
Lattice="5.479 -9.205 0.000 5.479 9.205 0.000 -3.567 0.000 14.891" Properties=species:S:1:pos:R:3 pbc="T T T"
Rb -0.776 1.409 8.195
Rb 2.804 7.627 11.168
Rb 1.206 4.646 14.194
Rb 1.008 -1.409 0.750
Rb 2.741 1.455 6.769
Rb 4.402 4.646 8.142
Rb 2.804 1.648 11.168
Rb 0.958 -1.455 14.214
Rb 6.434 1.455 0.677
Rb 4.587 -1.648 3.723
Rb 2.989 -4.646 6.748
Rb 4.650 -1.455 8.122
Rb 6.384 1.409 14.141
Rb 6.185 -4.646 0.697
Rb 4.587 -7.627 3.723
Rb 8.167 -1.409 6.696
Th 4.587 4.243 3.723
Th 2.804 -4.243 11.168
Mo 0.873 4.621 9.695
Mo -0.800 1.584 12.544
Mo 2.869 1.715 2.170
Mo 0.983 -1.584 5.098
Mo 1.086 -1.715 9.615
Mo 4.735 4.621 12.641
Mo 2.656 -4.621 2.249
Mo 6.306 1.715 5.276
Mo 6.408 1.584 9.793
Mo 4.522 -1.715 12.721
Mo 8.191 -1.584 2.347
Mo 6.519 -4.621 5.196
O 1.556 6.096 8.945
O 1.186 1.723 1.579
O 3.580 5.986 2.537
O -1.849 0.407 13.380
O 1.249 4.616 11.423
O 2.893 4.686 5.372
O -0.066 -0.407 5.935
O -0.382 0.897 10.960
O 1.651 3.204 8.932
O 3.746 3.202 1.574
O -0.598 -1.723 9.024
O 3.063 2.103 3.940
O 1.401 -0.897 3.514
O 0.713 1.757 13.478
O 5.594 5.986 4.909
O 4.052 6.096 13.392
O 3.725 0.248 1.636
O 6.282 4.686 2.073
O 4.359 4.616 10.913
O 1.942 -0.248 9.081
O 5.429 3.202 5.872
O 2.496 -1.757 6.033
O 1.280 -2.103 11.385
O 3.957 3.204 13.404
O 3.434 -3.204 1.487
O 6.112 2.103 3.505
O 4.895 1.757 8.858
O 1.963 -3.202 9.019
O 5.449 0.248 5.810
O 3.032 -4.616 3.978
O 1.109 -4.686 12.818
O 3.666 -0.248 13.255
O 3.340 -6.096 1.499
O 1.797 -5.986 9.982
O 6.678 -1.757 1.412
O 5.991 0.897 11.376
O 4.328 -2.103 10.951
O 7.989 1.723 5.866
O 3.645 -3.202 13.317
O 5.740 -3.204 5.958
O 7.774 -0.897 3.931
O 7.457 0.407 8.956
O 4.499 -4.686 9.519
O 6.142 -4.616 3.467
O 9.241 -0.407 1.511
O 3.811 -5.986 12.354
O 6.206 -1.723 13.312
O 5.835 -6.096 5.946
```

Calculated values
* SG: C2/c
* E (MP2020): -7.444 eV per atom
* ΔE_f: -2.34 eV per atom

---

Rb2ThMo3O12: optimized geometry, GGA+U.

```
36
Lattice="9.226 -6.368 0.000 9.226 6.368 0.000 -1.417 0.000 5.289" Properties=species:S:1:pos:R:3 pbc="T T T"
Rb 2.465 1.563 2.270
Rb 1.757 -1.563 4.915
Rb 15.278 1.563 0.375
Rb 14.570 -1.563 3.019
Th 8.163 1.579 3.967
Th 8.872 -1.579 1.322
Mo 8.872 4.399 1.322
Mo 6.285 1.337 0.558
Mo 5.577 -1.337 3.202
Mo 11.458 1.337 2.087
Mo 10.750 -1.337 4.731
Mo 8.163 -4.399 3.967
O 7.770 5.431 0.428
O 5.169 2.466 1.279
O 9.974 5.431 2.216
O 7.859 3.359 2.475
O 6.005 2.276 4.753
O 3.951 0.305 4.753
O 9.884 3.359 0.170
O 4.659 -0.305 2.109
O 7.417 0.503 1.872
O 10.322 2.276 3.180
O 6.709 -0.503 4.517
O 4.461 -2.466 3.923
O 12.574 2.466 1.366
O 10.326 0.503 0.772
O 6.714 -2.276 2.109
O 9.618 -0.503 3.417
O 12.376 0.305 3.180
O 7.151 -3.359 5.119
O 13.085 -0.305 0.536
O 11.030 -2.276 0.536
O 9.176 -3.359 2.814
O 7.061 -5.431 3.073
O 11.866 -2.466 4.010
O 9.266 -5.431 4.861
```

Calculated values
* SG: C2/c
* E (MP2020): -8.111 eV per atom
* ΔE_f: -2.48 eV per atom

---

RbTmMo2O8: optimized geometry, GGA+U.

```
24
Lattice="5.385 -5.208 0.000 5.385 5.208 0.000 -5.059 0.000 5.823" Properties=species:S:1:pos:R:3 pbc="T T T"
Rb 1.591 3.145 4.368
Rb 4.121 -3.145 1.456
Tm 4.121 2.824 1.456
Tm 1.591 -2.824 4.368
Mo 1.934 0.001 1.535
Mo -0.595 -0.001 4.447
Mo 6.307 0.001 1.376
Mo 3.778 -0.001 4.288
O -2.145 0.852 4.042
O 1.793 1.647 0.700
O 0.384 -0.852 1.130
O 0.495 0.788 3.267
O 4.970 1.146 0.192
O -0.736 -1.647 3.612
O 3.025 -0.788 0.355
O 3.271 1.146 2.719
O 2.441 -1.146 3.104
O 2.687 0.788 5.468
O 6.448 1.647 2.211
O 0.742 -1.146 5.631
O 5.216 -0.788 2.556
O 5.328 0.852 4.694
O 3.919 -1.647 5.123
O 7.857 -0.852 1.782
```

Calculated values
* SG: C2/c
* E (MP2020): -8.088 eV per atom
* ΔE_f: -2.53 eV per atom

---

Rb2UMo2O10: optimized geometry, GGA+U.

```
120
Lattice="12.526 0.000 0.000 0.000 13.926 0.000 -1.158 0.000 13.867" Properties=species:S:1:pos:R:3 pbc="T T T"
Rb 0.109 2.419 4.235
Rb -0.470 4.544 11.169
Rb 2.123 8.699 10.862
Rb 2.702 12.189 3.928
Rb 2.398 0.610 11.289
Rb 2.978 6.353 4.356
Rb 5.471 2.167 2.966
Rb 4.892 4.796 9.899
Rb 6.475 9.130 3.968
Rb 5.896 11.758 10.901
Rb 8.390 7.573 9.511
Rb 8.969 13.316 2.578
Rb 8.665 1.737 9.939
Rb 9.244 5.226 3.005
Rb 11.838 9.381 2.698
Rb 11.258 11.507 9.632
U 1.409 9.501 6.544
U 0.830 11.387 13.477
U 3.587 2.495 6.769
U 3.007 4.468 13.702
U 8.360 9.458 0.165
U 7.781 11.431 7.098
U 10.538 2.539 0.390
U 9.958 4.424 7.323
Mo 0.010 1.616 8.240
Mo 0.590 5.347 1.306
Mo 1.819 1.233 0.834
Mo 1.240 5.729 7.767
Mo 4.437 8.300 0.687
Mo 3.858 12.589 7.620
Mo 4.930 8.733 7.966
Mo 5.510 12.155 1.033
Mo 5.858 1.770 12.834
Mo 6.437 5.192 5.901
Mo 7.509 1.337 6.247
Mo 6.930 5.626 13.180
Mo 10.127 8.196 6.100
Mo 9.548 12.692 13.033
Mo 10.778 8.579 12.561
Mo 11.357 12.309 5.627
O 0.268 2.146 1.040
O -0.311 4.817 7.973
O 0.408 7.084 1.494
O -0.171 13.804 8.428
O -0.118 9.330 12.973
O 0.461 11.558 6.039
O 0.498 2.218 9.827
O 1.077 4.744 2.893
O 1.009 7.122 6.636
O 0.430 13.767 13.569
O 0.924 9.639 8.310
O 1.503 11.249 1.377
O 1.327 2.019 7.011
O 1.906 4.944 0.077
O 1.831 9.351 4.763
O 1.251 11.537 11.697
O 2.346 0.696 2.429
O 1.767 6.267 9.362
O 3.051 2.346 0.126
O 2.471 4.617 7.059
O 2.523 9.748 13.750
O 3.102 11.140 6.817
O 3.313 2.711 4.970
O 2.734 4.252 11.903
O 3.427 0.115 6.621
O 2.848 6.847 13.555
O 3.397 8.381 7.021
O 3.976 12.507 0.087
O 3.897 8.101 2.341
O 3.318 12.788 9.275
O 3.841 2.318 8.570
O 4.421 4.644 1.637
O 4.487 9.633 9.421
O 5.066 11.255 2.488
O 4.619 2.742 13.775
O 5.199 4.221 6.842
O 5.127 0.258 12.279
O 5.706 6.705 5.345
O 5.719 1.569 6.204
O 5.140 5.393 13.137
O 6.227 8.532 0.730
O 5.648 12.356 7.663
O 5.661 7.220 8.522
O 6.240 13.668 1.588
O 6.169 9.705 7.025
O 6.748 11.183 0.092
O 6.301 2.671 11.379
O 6.881 4.292 4.446
O 6.947 9.281 12.230
O 7.526 11.607 5.297
O 8.049 1.138 4.592
O 7.470 5.825 11.526
O 7.391 1.419 13.780
O 7.970 5.544 6.846
O 8.519 7.078 0.312
O 7.940 13.810 7.246
O 8.634 9.674 1.964
O 8.054 11.215 8.897
O 8.265 2.785 7.050
O 8.844 4.178 0.117
O 8.896 9.308 6.808
O 8.317 11.580 13.741
O 9.600 7.658 4.505
O 9.021 13.230 11.438
O 10.116 2.389 2.170
O 9.537 4.574 9.104
O 9.461 8.982 13.790
O 10.040 11.907 6.856
O 9.864 2.676 12.490
O 10.443 4.286 5.557
O 10.938 0.159 0.298
O 10.359 6.804 7.231
O 10.291 9.181 10.974
O 10.870 11.707 4.040
O 10.906 2.368 7.828
O 11.485 4.595 0.894
O 11.538 0.121 5.439
O 10.959 6.842 12.373
O 11.679 9.108 5.894
O 11.099 11.780 12.827
```

Calculated values
* SG: P2_1/c
* E (MP2020): -8.179 eV per atom
* ΔE_f: -2.55 eV per atom